Computed, not measured: a relaxed LiFeP2HO7 crystal at the PBE with a Hubbard U level of DFT.

- Volume: 591 Å³/cell
- Relative energy among the computed polymorphs: 32 meV/atom
- Spin magnetization: 4.00 μB/f.u.
- Energy relative to the elements: -2333 meV per atom

a = 6.0233 Å, b = 7.8269 Å, c = 12.7465 Å
α = 84.96°, β = 95.88°, γ = 97.60°
With the nearest neighbours (Å) after each atom.
Fractional positions:
O: 0.4910 0.8758 0.0912  1 P 1.53
O: 0.1858 0.7601 0.9024  1 H 1.03
O: 0.3458 0.7387 0.2671  2 P 1.59-1.63
O: 0.6895 0.7618 0.4016  1 H 1.03
O: 0.6542 0.2622 0.7326  2 P 1.60-1.63
O: 0.9275 0.4204 0.3446  1 P 1.54
O: 0.8416 0.3604 0.9025  1 P 1.55, 1 H 1.59
O: 0.6939 0.1881 0.5509  1 P 1.52
O: 0.8440 0.7390 0.7668  2 P 1.59-1.63
O: 0.5223 0.0333 0.3224  1 P 1.51
O: 0.0082 0.1249 0.4086  1 P 1.53
O: 0.3117 0.2388 0.5976  1 H 1.03
O: 0.5079 0.1236 0.9082  1 P 1.53
O: 0.0201 0.0325 0.8235  1 P 1.51
O: 0.1583 0.6385 0.0977  1 P 1.55, 1 H 1.59
O: 0.6596 0.6396 0.5971  1 P 1.55, 1 H 1.60
O: 0.4779 0.9671 0.6783  1 P 1.51
O: 0.9788 0.9670 0.1778  1 P 1.51
O: 0.3410 0.3620 0.4027  1 P 1.55, 1 H 1.59
O: 0.1546 0.2617 0.2330  2 P 1.59-1.63
O: 0.5718 0.5802 0.1549  1 P 1.54
O: 0.0729 0.5814 0.6552  1 P 1.54
O: 0.3066 0.8111 0.4490  1 P 1.52
O: 0.1959 0.1886 0.0514  1 P 1.52
O: 0.9923 0.8768 0.5914  1 P 1.53
O: 0.4283 0.4197 0.8455  1 P 1.54
O: 0.8127 0.2384 0.0975  1 H 1.03
O: 0.8028 0.8094 0.9491  1 P 1.52
Li: 0.0059 0.8839 0.4294  4 O 1.88-2.07
Li: 0.5019 0.8823 0.9294  4 O 1.88-2.07
Li: 0.4968 0.1168 0.0704  4 O 1.88-2.07
Li: 0.9958 0.1176 0.5698  4 O 1.88-2.06
P: 0.0357 0.1536 0.1378  4 O 1.51-1.59
P: 0.8956 0.7070 0.6477  4 O 1.53-1.63
P: 0.1049 0.2948 0.3521  4 O 1.53-1.63
P: 0.5345 0.1536 0.6378  4 O 1.51-1.60
P: 0.3948 0.7060 0.1477  4 O 1.53-1.63
P: 0.4658 0.8465 0.3622  4 O 1.51-1.60
P: 0.6051 0.2938 0.8522  4 O 1.53-1.63
P: 0.9629 0.8455 0.8627  4 O 1.51-1.60
Fe: 0.1483 0.2598 0.8866  4 O 2.04-2.14
Fe: 0.8523 0.7392 0.1142  4 O 2.04-2.13
Fe: 0.3539 0.7391 0.6140  4 O 2.04-2.13
Fe: 0.6484 0.2607 0.3866  4 O 2.05-2.14
H: 0.8302 0.3053 0.0247  1 O 1.03
H: 0.3294 0.3062 0.5250  1 O 1.03
H: 0.6722 0.6943 0.4740  1 O 1.03
H: 0.1687 0.6929 0.9750  1 O 1.03


Computed, not measured: a relaxed Li4V3Fe2Sb3O16 crystal at the PBE with a Hubbard U level of DFT.

- Volume: 326 Å³/cell
- Spin magnetization: 14.00 μB/f.u.
- Energy relative to the elements: -2142 meV per atom

a = 6.1585 Å, b = 6.1585 Å, c = 9.9370 Å
α = 89.75°, β = 89.75°, γ = 60.03°
With the nearest neighbours (Å) after each atom.
Fractional positions:
O: 0.4821 0.4821 0.8314  1 Li 1.99, 2 V 2.04, 1 Fe 2.06
O: 0.3156 0.8496 0.6012  1 Li 1.96, 1 Sb 2.06, 1 V 2.09, 1 Fe 2.09
O: 0.5127 0.9658 0.3255  1 Sb 1.98, 1 V 2.02, 1 Li 2.07
O: 0.0038 0.0038 0.3206  1 Li 1.84, 2 Sb 2.06
O: 0.0332 0.4794 0.8328  1 Li 2.01, 1 Sb 2.02, 1 V 2.08, 1 Fe 2.20
O: 0.6934 0.1593 0.1100  1 Li 1.99, 1 Sb 2.00, 1 V 2.05
O: 0.9658 0.5127 0.3255  1 Sb 1.98, 1 V 2.02, 1 Li 2.07
O: 0.3286 0.3286 0.6014  1 Li 1.99, 1 Sb 2.02, 2 V 2.11
O: 0.8496 0.3156 0.6012  1 Li 1.96, 1 Sb 2.06, 1 V 2.09, 1 Fe 2.09
O: 0.5125 0.5125 0.3298  2 Sb 2.04, 1 Li 2.09
O: 0.1593 0.6934 0.1100  1 Li 1.99, 1 Sb 2.00, 1 V 2.05
O: 0.1558 0.1558 0.1037  2 Sb 2.06, 1 Li 2.09
O: 0.6633 0.6633 0.1033  2 Sb 2.06, 1 V 2.13, 1 Li 2.28
O: 0.0059 0.0059 0.8134  1 Li 1.77
O: 0.8454 0.8454 0.6096  1 Li 1.89, 2 V 2.03, 1 Fe 2.07
O: 0.4794 0.0332 0.8328  1 Li 2.01, 1 Sb 2.02, 1 V 2.08, 1 Fe 2.20
Li: 0.6645 0.6645 0.8743  3 O 1.99-2.01
Li: 0.9946 0.9946 0.5060  4 O 1.84-1.96
Li: 0.3280 0.3280 0.4007  4 O 1.99-2.09
Li: 0.9916 0.9916 0.9905  1 O 1.77
Sb: 0.1709 0.1709 0.7150  6 O 2.01-2.06
Sb: 0.8316 0.3378 0.2161  6 O 1.98-2.06
Sb: 0.3378 0.8316 0.2161  6 O 1.98-2.06
Fe: 0.3444 0.3444 0.9774  5 O 2.06-2.28
Fe: 0.6736 0.6736 0.5142  3 O 2.07-2.09
V: 0.8324 0.8324 0.2170  6 O 2.02-2.13
V: 0.1707 0.6635 0.7142  6 O 2.03-2.11
V: 0.6635 0.1707 0.7142  6 O 2.03-2.11


Computed, not measured: a relaxed VH10SO10 crystal at the PBE with a Hubbard U level of DFT.

- Volume: 846 Å³/cell
- Relative energy among the computed polymorphs: 0 meV/atom
- Spin magnetization: 1.00 μB/f.u.
- Energy relative to the elements: -1544 meV per atom

a = 9.8920 Å, b = 7.0550 Å, c = 13.0163 Å
α = 68.72°, β = 90.00°, γ = 90.00°
With the nearest neighbours (Å) after each atom.
Fractional positions:
O: 0.7064 0.5700 0.7848  1 V 1.64, 1 H 1.80
O: 0.4431 0.8395 0.1730  1 S 1.48
O: 0.3207 0.7234 0.5298  2 H 0.98-1.00
O: 0.6267 0.4286 0.6273  2 H 0.99-1.00
O: 0.9094 0.5383 0.6406  2 H 0.99-1.00
O: 0.4094 0.4617 0.8594  2 H 0.99-1.00
O: 0.1793 0.7234 0.0298  2 H 0.98-1.00
O: 0.9228 0.9642 0.7928  1 S 1.48, 1 H 1.66
O: 0.7471 0.7486 0.4710  2 H 0.99
O: 0.0772 0.0358 0.2072  1 S 1.48, 1 H 1.66
O: 0.5146 0.1955 0.1089  1 S 1.48
O: 0.7936 0.5700 0.2848  1 V 1.64, 1 H 1.80
O: 0.0906 0.4617 0.3594  2 H 0.99-1.00
O: 0.2064 0.4300 0.7152  1 V 1.64, 1 H 1.80
O: 0.4460 0.1690 0.3961  2 H 1.00
O: 0.3733 0.5714 0.3727  2 H 0.99-1.00
O: 0.9460 0.8310 0.1039  2 H 1.00
O: 0.2471 0.2514 0.0290  2 H 0.99
O: 0.0540 0.1690 0.8961  2 H 1.00
O: 0.4228 0.0358 0.7072  1 S 1.48, 1 H 1.66
O: 0.4854 0.8045 0.8911  1 S 1.48
O: 0.0146 0.8045 0.3911  1 S 1.48
O: 0.1267 0.5714 0.8727  2 H 0.99-1.00
O: 0.8733 0.4286 0.1273  2 H 0.99-1.00
O: 0.8207 0.2766 0.9702  2 H 0.98-1.00
O: 0.6793 0.2766 0.4702  2 H 0.98-1.00
O: 0.8199 0.9341 0.6284  1 S 1.53
O: 0.5540 0.8310 0.6039  2 H 1.00
O: 0.6801 0.9341 0.1284  1 S 1.53
O: 0.5906 0.5383 0.1406  2 H 0.99-1.00
O: 0.1801 0.0659 0.3716  1 S 1.53
O: 0.5772 0.9642 0.2928  1 S 1.48, 1 H 1.66
O: 0.9431 0.1605 0.3270  1 S 1.48
O: 0.9854 0.1955 0.6089  1 S 1.48
O: 0.2936 0.4300 0.2152  1 V 1.64, 1 H 1.80
O: 0.5569 0.1605 0.8270  1 S 1.48
O: 0.3199 0.0659 0.8716  1 S 1.53
O: 0.0569 0.8395 0.6730  1 S 1.48
O: 0.7529 0.7486 0.9710  2 H 0.99
O: 0.2529 0.2514 0.5290  2 H 0.99
H: 0.0667 0.5920 0.3684  1 O 1.00
H: 0.0256 0.7802 0.0738  1 O 1.00
H: 0.7376 0.1581 0.5052  1 O 0.98
H: 0.5667 0.4080 0.1316  1 O 1.00
H: 0.7624 0.1581 0.0052  1 O 0.98
H: 0.2282 0.6279 0.0952  1 O 1.00
H: 0.1599 0.2282 0.5589  1 O 0.99
H: 0.3479 0.6191 0.4339  1 O 1.00
H: 0.4845 0.0956 0.3499  1 O 1.00
H: 0.4333 0.5920 0.8684  1 O 1.00
H: 0.9333 0.4080 0.6316  1 O 1.00
H: 0.4899 0.3822 0.8543  1 O 0.99
H: 0.5101 0.6178 0.1457  1 O 0.99
H: 0.2376 0.8419 0.9948  1 O 0.98
H: 0.2624 0.8419 0.4948  1 O 0.98
H: 0.5155 0.9044 0.6501  1 O 1.00
H: 0.6599 0.7718 0.9411  1 O 0.99
H: 0.1521 0.6191 0.9339  1 O 1.00
H: 0.6844 0.8179 0.4100  1 O 0.99
H: 0.8156 0.8179 0.9100  1 O 0.99
H: 0.6066 0.3129 0.6968  1 O 0.99
H: 0.3156 0.1821 0.5900  1 O 0.99
H: 0.2718 0.6279 0.5952  1 O 1.00
H: 0.3401 0.2282 0.0589  1 O 0.99
H: 0.1066 0.6871 0.8032  1 O 0.99
H: 0.7282 0.3721 0.4048  1 O 1.00
H: 0.5256 0.2198 0.4262  1 O 1.00
H: 0.1844 0.1821 0.0900  1 O 0.99
H: 0.7718 0.3721 0.9048  1 O 1.00
H: 0.8479 0.3809 0.0661  1 O 1.00
H: 0.9845 0.9044 0.1501  1 O 1.00
H: 0.8401 0.7718 0.4411  1 O 0.99
H: 0.4744 0.7802 0.5738  1 O 1.00
H: 0.0155 0.0956 0.8499  1 O 1.00
H: 0.9899 0.6178 0.6457  1 O 0.99
H: 0.0101 0.3822 0.3543  1 O 0.99
H: 0.3934 0.6871 0.3032  1 O 0.99
H: 0.9744 0.2198 0.9262  1 O 1.00
H: 0.8934 0.3129 0.1968  1 O 0.99
H: 0.6521 0.3809 0.5661  1 O 1.00
S: 0.5505 0.9832 0.1774  4 O 1.48-1.53
S: 0.9495 0.9832 0.6774  4 O 1.48-1.53
S: 0.4495 0.0168 0.8226  4 O 1.48-1.53
S: 0.0505 0.0168 0.3226  4 O 1.48-1.53
V: 0.2269 0.3365 0.8494  1 O 1.64
V: 0.7269 0.6635 0.6506  1 O 1.64
V: 0.2731 0.3365 0.3494  1 O 1.64
V: 0.7731 0.6635 0.1506  1 O 1.64


Computed, not measured: a relaxed Ca2MnAlO5 crystal at the PBE with a Hubbard U level of DFT.

- Volume: 223 Å³/cell
- Relative energy among the computed polymorphs: 0 meV/atom
- Spin magnetization: 4.00 μB/f.u.
- Energy relative to the elements: -3026 meV per atom

a = 5.3509 Å, b = 5.6168 Å, c = 8.3729 Å
α = 109.60°, β = 108.64°, γ = 90.00°
With the nearest neighbours (Å) after each atom.
Fractional positions:
O: 0.6145 0.7218 0.2972  1 Al 1.76
O: 0.3173 0.2782 0.7028  1 Al 1.76
O: 0.8173 0.9246 0.7028  1 Al 1.76
O: 0.1196 0.6046 0.5000  2 Al 1.82
O: 0.6196 0.3954 0.5000  2 Al 1.82
O: 0.7654 0.2684 0.0292  2 Mn 1.94-1.96
O: 0.1145 0.0754 0.2972  1 Al 1.76
O: 0.7363 0.7316 0.9708  2 Mn 1.94-1.96
O: 0.2363 0.7392 0.9709  2 Mn 1.94-1.96
O: 0.2654 0.2608 0.0291  2 Mn 1.94-1.96
Ca: 0.3987 0.9184 0.7767  5 O 2.31-2.53
Ca: 0.8988 0.3583 0.7767  5 O 2.31-2.53
Ca: 0.1221 0.6417 0.2233  5 O 2.31-2.53
Ca: 0.6221 0.0816 0.2233  5 O 2.31-2.53
Al: 0.7872 0.6768 0.5000  4 O 1.76-1.82
Al: 0.2872 0.3232 0.5000  4 O 1.76-1.82
Mn: 0.4990 0.5000 0.0000  4 O 1.94-1.96
Mn: 0.9990 0.0000 0.0000  4 O 1.94-1.96


Computed, not measured: a relaxed Li4Co3NiO8 crystal at the PBE with a Hubbard U level of DFT.

- Volume: 284 Å³/cell
- Relative energy among the computed polymorphs: 63 meV/atom
- Spin magnetization: 5.03 μB/f.u.
- Energy relative to the elements: -1623 meV per atom

a = 5.8852 Å, b = 5.8599 Å, c = 10.0416 Å
α = 106.17°, β = 90.11°, γ = 59.87°
With the nearest neighbours (Å) after each atom.
Fractional positions:
Li: 0.2519 0.5018 0.2494  6 O 2.06-2.11
Li: 0.7499 0.4974 0.7506  6 O 2.06-2.11
Li: 0.4990 0.4973 0.4891  4 O 2.05-2.27
Li: 0.7461 0.5038 0.2517  6 O 2.06-2.22
Li: 0.2500 0.4954 0.7479  6 O 2.08-2.18
Li: 0.5073 0.4960 0.9913  5 O 2.06-2.24
Li: 0.9912 0.5046 0.5086  5 O 2.05-2.26
Li: 0.0045 0.5034 0.0086  5 O 2.06-2.24
O: 0.8724 0.2335 0.3675  3 Co 1.95-2.05, 2 Li 2.06
O: 0.6359 0.2249 0.1291  2 Co 1.89-2.01, 1 Ni 2.06, 1 Li 2.11
O: 0.1503 0.2237 0.1225  2 Co 1.95-1.99, 1 Ni 2.06, 2 Li 2.09-2.11
O: 0.0937 0.7790 0.1376  2 Co 1.90-2.05, 1 Ni 2.04, 2 Li 2.06
O: 0.6254 0.7817 0.1265  3 Co 1.93-2.10, 1 Li 2.08
O: 0.1258 0.2242 0.6237  2 Co 1.97-2.02, 1 Ni 2.08, 3 Li 2.10-2.16
O: 0.8711 0.2208 0.8624  2 Co 1.90-2.05, 1 Ni 2.04, 2 Li 2.06
O: 0.4007 0.2208 0.8738  3 Co 1.94-2.10, 2 Li 2.08-2.16
O: 0.8695 0.7819 0.3715  2 Co 1.92-1.99, 1 Ni 2.08, 1 Li 2.11
O: 0.3706 0.7699 0.8744  2 Co 1.90-2.04, 1 Ni 2.07, 2 Li 2.09-2.10
O: 0.8520 0.7785 0.8731  2 Co 1.90-1.98, 1 Ni 2.07, 1 Li 2.11
O: 0.3632 0.7705 0.3713  2 Co 1.95-2.06, 1 Ni 2.06, 3 Li 2.09-2.10
O: 0.6395 0.2228 0.6328  2 Co 1.89-2.05, 1 Ni 2.06, 2 Li 2.10-2.11
O: 0.0968 0.7683 0.6321  3 Co 1.94-2.06, 2 Li 2.05-2.08
O: 0.6263 0.7749 0.6378  2 Co 1.90-2.05, 1 Ni 2.06, 2 Li 2.06-2.07
O: 0.4069 0.2254 0.3624  2 Co 1.90-2.05, 2 Li 2.05-2.07, 1 Ni 2.06
Co: 0.7483 0.9974 0.7506  6 O 1.89-1.96
Co: 0.7495 0.0056 0.2496  6 O 1.89-1.96
Co: 0.2472 0.0050 0.2504  6 O 1.95-2.10
Co: 0.2515 0.9885 0.7518  6 O 1.90-2.10
Co: 0.5053 0.0007 0.0003  6 O 1.93-2.04
Co: 0.9981 0.0017 0.5014  6 O 1.97-2.06
Ni: 0.4997 0.0004 0.4998  6 O 2.06-2.08
Ni: 0.0005 0.0001 0.0001  6 O 2.04-2.07